[1]
Below is an optimized crystal structure of Ba3CaO4, with properties calculated at the PBE level.

Lattice parameters (Å, degrees): 5.479 5.479 5.479 90.00 90.00 90.00
Element x y z (fractional)
Ba  0.000  0.000  0.500
Ba  0.000  0.500  0.000
Ba  0.500  0.000  0.000
Ca  0.500  0.500  0.500
O  0.000  0.000  0.000
O  0.000  0.500  0.500
O  0.500  0.000  0.500
O  0.500  0.500  0.000

## Properties
* calculated total energy: -5.917 eV per atom
* calculated volume: 20.6 Å³/atom
* energy of formation from the pure elements: -2816 meV/atom
* calculated density: 5.21 g cm⁻³


[2]
Below is an optimized crystal structure of Mg2Si, with properties calculated at the PBE level.

Lattice parameters (Å, degrees): 5.517 6.916 7.730 95.53 110.77 111.82
Element x y z (fractional)
Mg  0.000  0.000  0.000
Mg  0.006  0.305  0.708
Mg  0.154  0.507  0.145
Mg  0.304  0.207  0.445
Mg  0.429  0.791  0.570
Mg  0.534  0.195  0.887
Mg  0.633  0.994  0.265
Mg  0.767  0.511  0.352
Si  0.271  0.773  0.884
Si  0.590  0.600  0.003
Si  0.747  0.564  0.746
Si  0.992  0.914  0.603

## Properties
* calculated total energy: -2.806 eV per atom
* calculated volume: 20.6 Å³/atom
* energy of formation from the pure elements: 93 meV/atom
* calculated density: 2.06 g cm⁻³


[3]
Below is an optimized crystal structure of Ho2Cl2O, with properties calculated at the PBE level.

Lattice parameters (Å, degrees): 4.050 4.050 12.723 90.00 90.00 90.00
Element x y z (fractional)
Ho  0.000  0.000  0.161
Ho  0.000  0.000  0.839
Cl  0.000  0.000  0.354
Cl  0.000  0.000  0.646
O  0.000  0.000  0.000

## Properties
* calculated total energy: -4.917 eV per atom
* calculated volume: 41.7 Å³/atom
* energy of formation from the pure elements: -1492 meV/atom
* calculated density: 3.32 g cm⁻³


[4]
Below is an optimized crystal structure of Ho2MgS4, with properties calculated at the PBE level.

Lattice parameters (Å, degrees): 7.205 8.337 12.878 99.50 95.61 90.04
Element x y z (fractional)
Ho  0.132  0.445  0.304
Ho  0.133  0.957  0.308
Ho  0.259  0.127  0.001
Ho  0.364  0.300  0.694
Ho  0.636  0.700  0.306
Ho  0.741  0.873  0.999
Ho  0.867  0.043  0.692
Ho  0.868  0.555  0.696
Mg  0.251  0.622  0.996
Mg  0.366  0.799  0.700
Mg  0.634  0.201  0.300
Mg  0.749  0.378  0.004
S  0.097  0.406  0.102
S  0.105  0.898  0.105
S  0.194  0.543  0.629
S  0.196  0.022  0.629
S  0.309  0.718  0.375
S  0.329  0.219  0.372
S  0.393  0.845  0.892
S  0.405  0.354  0.897
S  0.595  0.646  0.103
S  0.607  0.155  0.108
S  0.671  0.781  0.628
S  0.691  0.282  0.625
S  0.804  0.978  0.371
S  0.806  0.457  0.371
S  0.895  0.102  0.895
S  0.903  0.594  0.898

## Properties
* calculated total energy: -5.594 eV per atom
* calculated volume: 27.1 Å³/atom
* distance to the lowest polymorph of the same formula: 194 meV/atom
* energy of formation from the pure elements: -1980 meV/atom
* calculated density: 4.22 g cm⁻³


[5]
Below is an optimized crystal structure of Ca2AlPbOF8, with properties calculated at the PBE level.

Lattice parameters (Å, degrees): 5.549 5.557 12.075 90.11 102.29 94.41
Element x y z (fractional)
Ca  0.000  0.000  0.000
Ca  0.086  0.511  0.229
Ca  0.490  0.497  0.997
Ca  0.597  0.025  0.230
Al  0.258  0.947  0.424
Al  0.835  0.550  0.784
Pb  0.308  0.049  0.719
Pb  0.849  0.403  0.516
O  0.786  0.383  0.349
O  0.972  0.358  0.684
F  0.119  0.129  0.515
F  0.133  0.640  0.882
F  0.196  0.694  0.514
F  0.290  0.152  0.903
F  0.295  0.195  0.331
F  0.296  0.274  0.118
F  0.296  0.769  0.111
F  0.412  0.755  0.345
F  0.527  0.464  0.701
F  0.556  0.055  0.516
F  0.689  0.748  0.876
F  0.788  0.302  0.882
F  0.793  0.745  0.111
F  0.795  0.246  0.112
F  0.888  0.814  0.701
F  0.964  0.865  0.328

## Properties
* calculated total energy: -5.632 eV per atom
* calculated volume: 13.9 Å³/atom
* energy of formation from the pure elements: -3528 meV/atom
* calculated density: 4.42 g cm⁻³


[6]
Below is an optimized crystal structure of TcN, with properties calculated at the PBE level.

Lattice parameters (Å, degrees): 2.820 2.820 2.904 90.00 90.00 120.00
Element x y z (fractional)
Tc  0.000  0.000  0.000
N  0.667  0.333  0.500

## Properties
* calculated total energy: -9.010 eV per atom
* calculated volume: 10.0 Å³/atom
* distance to the lowest polymorph of the same formula: 331 meV/atom
* energy of formation from the pure elements: 158 meV/atom
* calculated density: 9.30 g cm⁻³


[7]
Below is an optimized crystal structure of TiCrCuS4, with properties calculated at the PBE level.

Lattice parameters (Å, degrees): 6.899 11.414 11.936 89.82 89.16 89.97
Element x y z (fractional)
Ti  0.000  0.000  0.000
Ti  0.005  0.324  0.503
Ti  0.282  0.782  0.853
Ti  0.291  0.284  0.198
Ti  0.497  0.044  0.355
Ti  0.515  0.279  0.852
Ti  0.781  0.822  0.500
Ti  0.796  0.503  0.004
Cr  0.028  0.554  0.712
Cr  0.034  0.770  0.216
Cr  0.261  0.536  0.354
Cr  0.281  0.071  0.731
Cr  0.521  0.571  0.733
Cr  0.529  0.756  0.230
Cr  0.766  0.266  0.213
Cr  0.775  0.058  0.715
Cu  0.021  0.292  0.868
Cu  0.026  0.036  0.364
Cu  0.269  0.530  0.000
Cu  0.279  0.806  0.499
Cu  0.519  0.020  0.999
Cu  0.524  0.301  0.499
Cu  0.781  0.536  0.360
Cu  0.784  0.790  0.864
S  0.017  0.643  0.895
S  0.018  0.678  0.395
S  0.023  0.130  0.164
S  0.024  0.197  0.665
S  0.027  0.388  0.304
S  0.028  0.943  0.541
S  0.036  0.939  0.801
S  0.044  0.378  0.048
S  0.246  0.872  0.044
S  0.260  0.448  0.542
S  0.265  0.181  0.398
S  0.269  0.696  0.670
S  0.270  0.149  0.913
S  0.275  0.629  0.175
S  0.286  0.435  0.807
S  0.287  0.887  0.302
S  0.511  0.391  0.314
S  0.512  0.936  0.806
S  0.514  0.670  0.406
S  0.526  0.127  0.167
S  0.527  0.651  0.913
S  0.528  0.951  0.542
S  0.531  0.197  0.668
S  0.533  0.372  0.048
S  0.750  0.880  0.041
S  0.759  0.437  0.806
S  0.760  0.447  0.544
S  0.765  0.888  0.303
S  0.776  0.176  0.395
S  0.778  0.698  0.668
S  0.782  0.149  0.895
S  0.784  0.627  0.164

## Properties
* calculated total energy: -6.111 eV per atom
* calculated volume: 16.8 Å³/atom
* distance to the lowest polymorph of the same formula: 244 meV/atom
* energy of formation from the pure elements: -942 meV/atom
* calculated density: 4.12 g cm⁻³


[8]
Below is an optimized crystal structure of SrSc2O4, with properties calculated at the PBE level.

Lattice parameters (Å, degrees): 5.509 5.509 10.686 90.00 90.00 146.12
Element x y z (fractional)
Sr  0.110  0.890  0.750
Sr  0.890  0.110  0.250
Sc  0.364  0.636  0.571
Sc  0.364  0.636  0.929
Sc  0.636  0.364  0.071
Sc  0.636  0.364  0.429
O  0.000  0.000  0.000
O  0.000  0.000  0.500
O  0.263  0.737  0.105
O  0.263  0.737  0.395
O  0.435  0.565  0.750
O  0.565  0.435  0.250
O  0.737  0.263  0.605
O  0.737  0.263  0.895

## Properties
* calculated total energy: -8.198 eV per atom
* calculated volume: 12.9 Å³/atom
* distance to the lowest polymorph of the same formula: 26 meV/atom
* energy of formation from the pure elements: -3712 meV/atom
* calculated density: 4.44 g cm⁻³


[9]
Below is an optimized crystal structure of Ho2S3, with properties calculated at the PBE level.

Lattice parameters (Å, degrees): 10.604 3.853 10.446 90.00 90.00 90.00
Element x y z (fractional)
Ho  0.010  0.250  0.187
Ho  0.192  0.250  0.504
Ho  0.308  0.750  0.004
Ho  0.490  0.750  0.687
Ho  0.510  0.250  0.313
Ho  0.692  0.250  0.996
Ho  0.808  0.750  0.496
Ho  0.990  0.750  0.813
S  0.046  0.750  0.373
S  0.119  0.250  0.945
S  0.227  0.750  0.696
S  0.273  0.250  0.196
S  0.381  0.750  0.445
S  0.454  0.250  0.873
S  0.546  0.750  0.127
S  0.619  0.250  0.555
S  0.727  0.750  0.804
S  0.773  0.250  0.304
S  0.881  0.750  0.055
S  0.954  0.250  0.627

## Properties
* calculated total energy: -6.376 eV per atom
* calculated volume: 21.3 Å³/atom
* energy of formation from the pure elements: -2362 meV/atom
* calculated density: 6.63 g cm⁻³


[10]
Below is an optimized crystal structure of Tb2Fe17C, with properties calculated at the PBE level.

Lattice parameters (Å, degrees): 6.449 6.449 6.425 96.64 96.64 83.54
Element x y z (fractional)
Tb  0.161  0.161  0.350
Tb  0.839  0.839  0.650
Fe  0.000  0.500  0.000
Fe  0.157  0.157  0.850
Fe  0.157  0.650  0.344
Fe  0.211  0.500  0.710
Fe  0.215  0.785  0.000
Fe  0.350  0.843  0.656
Fe  0.403  0.403  0.098
Fe  0.500  0.000  0.000
Fe  0.500  0.211  0.710
Fe  0.500  0.500  0.500
Fe  0.500  0.789  0.290
Fe  0.597  0.597  0.902
Fe  0.650  0.157  0.344
Fe  0.785  0.215  0.000
Fe  0.789  0.500  0.290
Fe  0.843  0.350  0.656
Fe  0.843  0.843  0.150
C  0.000  0.000  0.000

## Properties
* calculated total energy: -8.156 eV per atom
* calculated volume: 13.1 Å³/atom
* energy of formation from the pure elements: -31 meV/atom
* calculated density: 8.10 g cm⁻³


[11]
Below is an optimized crystal structure of Mg14NbV, with properties calculated at the PBE level.

Lattice parameters (Å, degrees): 10.083 6.335 6.335 58.47 90.00 90.00
Element x y z (fractional)
Mg  0.000  0.000  0.000
Mg  0.000  0.001  0.501
Mg  0.000  0.500  0.500
Mg  0.000  0.501  0.001
Mg  0.254  0.161  0.161
Mg  0.256  0.662  0.662
Mg  0.260  0.168  0.671
Mg  0.260  0.671  0.168
Mg  0.500  0.004  0.499
Mg  0.500  0.499  0.004
Mg  0.740  0.168  0.671
Mg  0.740  0.671  0.168
Mg  0.744  0.662  0.662
Mg  0.746  0.161  0.161
Nb  0.500  0.003  0.003
V  0.500  0.501  0.501

## Properties
* calculated total energy: -2.466 eV per atom
* calculated volume: 21.6 Å³/atom
* distance to the lowest polymorph of the same formula: 0 meV/atom
* energy of formation from the pure elements: 134 meV/atom
* calculated density: 2.33 g cm⁻³


[12]
Below is an optimized crystal structure of Li9Nd2P5S20, with properties calculated at the PBE level.

Lattice parameters (Å, degrees): 9.045 9.045 21.141 94.77 94.77 66.95
Element x y z (fractional)
Li  0.000  0.500  0.000
Li  0.122  0.810  0.944
Li  0.148  0.764  0.159
Li  0.189  0.365  0.474
Li  0.190  0.878  0.556
Li  0.236  0.852  0.341
Li  0.365  0.189  0.974
Li  0.424  0.476  0.386
Li  0.476  0.424  0.886
Li  0.500  0.000  0.500
Li  0.524  0.576  0.114
Li  0.576  0.524  0.614
Li  0.635  0.811  0.026
Li  0.764  0.148  0.659
Li  0.810  0.122  0.444
Li  0.811  0.635  0.526
Li  0.852  0.236  0.841
Li  0.878  0.190  0.056
Nd  0.239  0.291  0.700
Nd  0.291  0.239  0.200
Nd  0.709  0.761  0.800
Nd  0.761  0.709  0.300
P  0.009  0.745  0.441
P  0.069  0.433  0.853
P  0.255  0.991  0.059
P  0.433  0.069  0.353
P  0.496  0.504  0.750
P  0.504  0.496  0.250
P  0.567  0.931  0.647
P  0.745  0.009  0.941
P  0.931  0.567  0.147
P  0.991  0.255  0.559
S  0.046  0.113  0.636
S  0.056  0.574  0.780
S  0.058  0.444  0.586
S  0.113  0.046  0.136
S  0.118  0.121  0.484
S  0.121  0.118  0.984
S  0.139  0.201  0.817
S  0.153  0.497  0.109
S  0.201  0.139  0.317
S  0.218  0.469  0.928
S  0.250  0.656  0.470
S  0.284  0.523  0.281
S  0.333  0.557  0.674
S  0.344  0.750  0.030
S  0.426  0.944  0.720
S  0.443  0.667  0.826
S  0.444  0.058  0.086
S  0.469  0.218  0.428
S  0.477  0.716  0.219
S  0.497  0.153  0.609
S  0.503  0.847  0.391
S  0.523  0.284  0.781
S  0.531  0.782  0.572
S  0.556  0.942  0.914
S  0.557  0.333  0.174
S  0.574  0.056  0.280
S  0.656  0.250  0.970
S  0.667  0.443  0.326
S  0.716  0.477  0.719
S  0.750  0.344  0.530
S  0.782  0.531  0.072
S  0.799  0.861  0.683
S  0.847  0.503  0.891
S  0.861  0.799  0.183
S  0.879  0.882  0.016
S  0.882  0.879  0.516
S  0.887  0.954  0.864
S  0.942  0.556  0.414
S  0.944  0.426  0.220
S  0.954  0.887  0.364

## Properties
* calculated total energy: -4.767 eV per atom
* calculated volume: 22.0 Å³/atom
* energy of formation from the pure elements: -1255 meV/atom
* calculated density: 2.41 g cm⁻³


[13]
Below is an optimized crystal structure of Gd5C6Cl3, with properties calculated at the PBE level.

Lattice parameters (Å, degrees): 11.023 11.023 15.365 122.62 122.62 19.50
Element x y z (fractional)
Gd  0.006  0.006  0.114
Gd  0.007  0.007  0.396
Gd  0.328  0.328  0.120
Gd  0.333  0.333  0.891
Gd  0.336  0.336  0.360
Gd  0.664  0.664  0.640
Gd  0.667  0.667  0.109
Gd  0.672  0.672  0.880
Gd  0.993  0.993  0.604
Gd  0.994  0.994  0.886
C  0.124  0.124  0.727
C  0.124  0.124  0.961
C  0.197  0.197  0.018
C  0.197  0.197  0.777
C  0.463  0.463  0.473
C  0.463  0.463  0.970
C  0.537  0.537  0.030
C  0.537  0.537  0.527
C  0.803  0.803  0.223
C  0.803  0.803  0.982
C  0.876  0.876  0.039
C  0.876  0.876  0.273
Cl  0.169  0.169  0.509
Cl  0.172  0.172  0.253
Cl  0.470  0.470  0.727
Cl  0.530  0.530  0.273
Cl  0.828  0.828  0.747
Cl  0.831  0.831  0.491

## Properties
* calculated total energy: -10.283 eV per atom
* calculated volume: 18.6 Å³/atom
* energy of formation from the pure elements: -1036 meV/atom
* calculated density: 6.14 g cm⁻³